# HgH9C3SI3

An optimized crystal structure of HgH9C3SI3 (PBE, the Materials Project database).

Cell: 9.0507 16.5911 12.5414 Å, 90.00 128.22 90.00°
Space group P2_1/c (No. 14)
One atom of each set of equivalent atoms:
Hg1 0.1860 0.0216 0.4321 (multiplicity 4)
H1 0.0006 0.6970 0.7149 (multiplicity 4)
H2 0.0530 0.1419 0.9283 (multiplicity 4)
H3 0.1523 0.2415 0.9535 (multiplicity 4)
H4 0.3250 0.2318 0.7871 (multiplicity 4)
H5 0.3815 0.0777 0.1151 (multiplicity 4)
H6 0.4217 0.5842 0.3864 (multiplicity 4)
H7 0.4338 0.2294 0.4563 (multiplicity 4)
H8 0.4504 0.6940 0.5712 (multiplicity 4)
H9 0.4966 0.6725 0.3482 (multiplicity 4)
C1 0.1067 0.1856 0.8943 (multiplicity 4)
C2 0.4144 0.2178 0.8960 (multiplicity 4)
C3 0.4573 0.1167 0.0928 (multiplicity 4)
S1 0.2992 0.1370 0.9138 (multiplicity 4)
I1 0.0104 0.5819 0.3276 (multiplicity 4)
I2 0.1023 0.6245 0.9941 (multiplicity 4)
I3 0.4851 0.5910 0.8449 (multiplicity 4)

Results
formation energy = -7.0 kcal/mol of atoms
V = 1479.6 Å³/cell
total DFT energy (no corrections) = -4.161 eV/atom